Record 1
DFT (PBE with a Hubbard U) results for a geometry-optimized Ba3V2Se4O16 structure.

Computed properties:
* total energy: -0.463 Ry/atom
* theoretical density: 4.28 g/cm3
* M_tot: 0.00 μB/f.u.
* crystal system: monoclinic
* formation energy: -2.19 eV per atom

Cell lengths 15.6895, 9.1387, 14.5894 Å; angles 53.63, 90.00, 90.00 degrees
Last column: nearest neighbours and their distance in Å.
Fractional positions:
V 0.2910 0.3811 0.1173  2 O 1.68-1.69
O 0.4316 0.6372 0.3471  1 Se 1.69
O 0.0259 0.1717 0.8797  1 V 1.67
Se 0.8799 0.6697 0.7205  3 O 1.69-1.82
Se 0.6201 0.6697 0.2205  3 O 1.69-1.82
Se 0.0454 0.5330 0.6089  3 O 1.69-1.78
O 0.2744 0.2773 0.7541  1 Se 1.82, 1 V 1.92
O 0.7549 0.0545 0.4844  1 Se 1.70
O 0.5684 0.3628 0.6529  1 Se 1.69
O 0.3620 0.4587 0.1965  1 Se 1.78
O 0.6467 0.6522 0.1154  1 Se 1.69
Se 0.4381 0.6799 0.4446  3 O 1.69-1.78
Ba 0.5899 0.0089 0.8928  7 O 2.73-3.05
O 0.7760 0.4657 0.9854  1 V 1.68
Ba 0.8246 0.6668 0.0838  8 O 2.75-3.05
O 0.9583 0.7708 0.9256  1 Se 1.77
O 0.5786 0.8830 0.1476  1 Se 1.70
Se 0.5454 0.4670 0.8911  3 O 1.69-1.78
Se 0.8058 0.2008 0.8672  3 O 1.70-1.80
O 0.2256 0.2773 0.2541  1 Se 1.82, 1 V 1.92
Ba 0.1754 0.3332 0.9162  8 O 2.75-3.05
O 0.2898 0.1920 0.1216  1 V 1.69
O 0.9475 0.2392 0.4640  1 Se 1.69
O 0.1467 0.3478 0.3846  1 Se 1.69
Se 0.1201 0.3303 0.2795  3 O 1.69-1.82
O 0.5259 0.8283 0.6203  1 V 1.67
V 0.2090 0.3811 0.6173  2 O 1.68-1.69
O 0.2760 0.5343 0.5146  1 V 1.68
O 0.4475 0.7608 0.0360  1 Se 1.69
O 0.9214 0.8830 0.6476  1 Se 1.70
O 0.6044 0.5033 0.9797  1 Se 1.77
Ba 0.4101 0.9911 0.1072  7 O 2.73-3.05
O 0.3533 0.3478 0.8846  1 Se 1.69
O 0.2398 0.7412 0.7421  1 Se 1.70
O 0.6041 0.0971 0.6279  1 Se 1.78
O 0.8620 0.5413 0.3035  1 Se 1.78
O 0.3956 0.4967 0.0203  1 Se 1.77
Ba 0.3076 0.8850 0.8550  6 O 2.75-3.04
Se 0.9546 0.4670 0.3911  3 O 1.69-1.78
Ba 0.1924 0.8850 0.3550  6 O 2.75-3.04
V 0.7090 0.6189 0.8827  2 O 1.68-1.69
Se 0.3058 0.7992 0.6328  3 O 1.70-1.80
O 0.3698 0.9637 0.6322  1 Se 1.80, 1 V 1.95
O 0.7744 0.7227 0.7459  1 Se 1.82, 1 V 1.92
O 0.7240 0.4657 0.4854  1 V 1.68
O 0.9741 0.8283 0.1203  1 V 1.67
Se 0.6942 0.2008 0.3672  3 O 1.70-1.80
Ba 0.3246 0.3332 0.4162  8 O 2.75-3.05
O 0.2602 0.7412 0.2421  1 Se 1.70
O 0.1044 0.4967 0.5203  1 Se 1.77
Se 0.1942 0.7992 0.1328  3 O 1.70-1.80
O 0.4214 0.1170 0.8524  1 Se 1.70
O 0.0525 0.7608 0.5360  1 Se 1.69
O 0.6302 0.0363 0.3678  1 Se 1.80, 1 V 1.95
O 0.0786 0.1170 0.3524  1 Se 1.70
O 0.3959 0.9029 0.3721  1 Se 1.78
O 0.8698 0.0363 0.8678  1 Se 1.80, 1 V 1.95
O 0.6380 0.5413 0.8035  1 Se 1.78
Ba 0.8076 0.1150 0.6450  6 O 2.75-3.04
O 0.7256 0.7227 0.2459  1 Se 1.82, 1 V 1.92
Se 0.0619 0.6799 0.9446  3 O 1.69-1.78
O 0.1302 0.9637 0.1322  1 Se 1.80, 1 V 1.95
O 0.4741 0.1717 0.3797  1 V 1.67
V 0.0077 0.9622 0.1555  2 O 1.67-1.68
O 0.7602 0.2588 0.2579  1 Se 1.70
O 0.1380 0.4587 0.6965  1 Se 1.78
O 0.7898 0.8080 0.3784  1 V 1.69
O 0.9927 0.1540 0.7022  1 V 1.68
Ba 0.6924 0.1150 0.1450  6 O 2.75-3.04
Ba 0.6754 0.6668 0.5838  8 O 2.75-3.05
Ba 0.0899 0.9911 0.6072  7 O 2.73-3.05
O 0.2240 0.5343 0.0146  1 V 1.68
O 0.7398 0.2588 0.7579  1 Se 1.70
O 0.5417 0.7708 0.4256  1 Se 1.77
Se 0.3799 0.3303 0.7795  3 O 1.69-1.82
O 0.4583 0.2292 0.5744  1 Se 1.77
O 0.2549 0.9455 0.0156  1 Se 1.70
Ba 0.9101 0.0089 0.3928  7 O 2.73-3.05
V 0.9923 0.0378 0.8445  2 O 1.67-1.68
O 0.8956 0.5033 0.4797  1 Se 1.77
O 0.0684 0.6372 0.8471  1 Se 1.69
V 0.7910 0.6189 0.3827  2 O 1.68-1.69
Se 0.9381 0.3201 0.0554  3 O 1.69-1.78
Se 0.5619 0.3201 0.5554  3 O 1.69-1.78
V 0.4923 0.9622 0.6555  2 O 1.67-1.68
O 0.7451 0.0545 0.9844  1 Se 1.70
V 0.5077 0.0378 0.3445  2 O 1.67-1.68
O 0.0073 0.8460 0.2978  1 V 1.68
Se 0.4546 0.5330 0.1089  3 O 1.69-1.78
O 0.2451 0.9455 0.5156  1 Se 1.70
O 0.9316 0.3628 0.1529  1 Se 1.69
O 0.2102 0.1920 0.6216  1 V 1.69
O 0.8959 0.0971 0.1279  1 Se 1.78
O 0.5525 0.2392 0.9640  1 Se 1.69
O 0.5073 0.1540 0.2022  1 V 1.68
O 0.8533 0.6522 0.6154  1 Se 1.69
O 0.4927 0.8460 0.7978  1 V 1.68
O 0.0417 0.2292 0.0744  1 Se 1.77
O 0.7102 0.8080 0.8784  1 V 1.69
O 0.1041 0.9029 0.8721  1 Se 1.78

=====

Record 2
DFT (PBE with a Hubbard U) results for a geometry-optimized PrMo2O6 structure.

Computed properties:
* total energy: -0.552 Ry/atom
* theoretical density: 5.69 g/cm3
* M_tot: 3.00 μB/f.u.
* crystal system: triclinic
* formation energy: -2.44 eV per atom

Cell lengths 5.5479, 5.6653, 7.9676 Å; angles 90.23, 90.13, 90.13 degrees
Last column: nearest neighbours and their distance in Å.
Fractional positions:
O 0.9241 0.4859 0.7556  2 Mo 2.01-2.07
O 0.7925 0.2105 0.0422  2 Mo 1.99-2.03
O 0.7274 0.7267 0.0320  2 Mo 2.03-2.07
O 0.4010 0.0127 0.2553  2 Mo 2.01-2.10
O 0.3061 0.2833 0.5450  2 Mo 1.92-2.11
Mo 0.4951 0.0087 0.9996  6 O 2.01-2.10
O 0.2262 0.7716 0.9666  2 Mo 2.02-2.04
O 0.2895 0.2943 0.9571  2 Mo 1.99-2.01
O 0.5620 0.9705 0.7445  2 Mo 2.00-2.08
Mo 0.0003 0.4925 0.0028  6 O 1.95-2.04
Pr 0.9824 0.9565 0.2495  6 O 2.34-2.58
Pr 0.4929 0.5531 0.7531  6 O 2.40-2.62
O 0.2239 0.7704 0.5318  2 Mo 2.02-2.03
O 0.0524 0.5189 0.2439  2 Mo 1.95-2.08
O 0.7172 0.7372 0.4639  2 Mo 1.98-2.11
Mo 0.9978 0.4920 0.5012  6 O 1.99-2.11
O 0.7941 0.2093 0.4569  2 Mo 1.99-2.05
Mo 0.4941 0.0059 0.4990  6 O 1.92-2.05

=====

Record 3
DFT (PBE with a Hubbard U) results for a geometry-optimized Li3CrFe3O8 structure.

Computed properties:
* total energy: -0.465 Ry/atom
* theoretical density: 4.04 g/cm3
* M_tot: 17.00 μB/f.u.
* crystal system: trigonal
* formation energy: -1.92 eV per atom

Cell lengths 6.0093, 6.0093, 6.0093 Å; angles 59.43, 59.43, 59.43 degrees
Last column: nearest neighbours and their distance in Å.
Fractional positions:
O 0.7554 0.2309 0.2309  1 Cr 1.95, 2 Fe 2.06, 2 Li 2.18
O 0.7691 0.7691 0.2446  1 Cr 1.95, 2 Fe 2.06, 2 Li 2.18
Li 0.0000 0.0000 0.5000  6 O 2.18-2.19
Cr 0.0000 0.0000 0.0000  6 O 1.95
Li 0.5000 0.0000 0.0000  6 O 2.18-2.19
O 0.7691 0.2446 0.7691  1 Cr 1.95, 2 Fe 2.06, 2 Li 2.18
Li 0.0000 0.5000 0.0000  6 O 2.18-2.19
O 0.2589 0.2589 0.2589  3 Fe 2.04, 3 Li 2.19
O 0.2309 0.7554 0.2309  1 Cr 1.95, 2 Fe 2.06, 2 Li 2.18
Fe 0.0000 0.5000 0.5000  6 O 2.04-2.06
Fe 0.5000 0.5000 0.0000  6 O 2.04-2.06
O 0.2309 0.2309 0.7554  1 Cr 1.95, 2 Fe 2.06, 2 Li 2.18
O 0.2446 0.7691 0.7691  1 Cr 1.95, 2 Fe 2.06, 2 Li 2.18
Fe 0.5000 0.0000 0.5000  6 O 2.04-2.06
O 0.7411 0.7411 0.7411  3 Fe 2.04, 3 Li 2.19

=====

Record 4
DFT (PBE with a Hubbard U) results for a geometry-optimized Li5V5Fe2O12 structure.

Computed properties:
* total energy: -0.504 Ry/atom
* theoretical density: 4.27 g/cm3
* M_tot: 18.00 μB/f.u.
* crystal system: monoclinic
* formation energy: -2.28 eV per atom

Cell lengths 5.2154, 5.2154, 9.9114 Å; angles 85.10, 85.10, 119.64 degrees
Last column: nearest neighbours and their distance in Å.
Fractional positions:
O 0.0577 0.2355 0.6233  2 V 2.04-2.05, 3 Li 2.06-2.20, 1 Fe 2.11
O 0.8563 0.3610 0.1178  3 V 2.07-2.16, 1 Fe 2.18, 2 Li 2.26-2.29
O 0.6390 0.1437 0.8822  3 V 2.07-2.16, 1 Fe 2.18, 2 Li 2.26-2.29
O 0.7645 0.9423 0.3767  2 V 2.04-2.05, 3 Li 2.06-2.20, 1 Fe 2.11
O 0.7127 0.5387 0.6259  2 V 2.02-2.12, 3 Li 2.07-2.14, 1 Fe 2.12
O 0.5634 0.7307 0.1194  3 V 2.02-2.18, 1 Fe 2.14, 1 Li 2.21
V 0.5769 0.4231 0.0000  6 O 2.04-2.10
Li 0.0834 0.9166 0.5000  6 O 2.14-2.20
Li 0.6825 0.8451 0.7358  4 O 2.05-2.15
O 0.3629 0.8452 0.6297  2 V 1.98-2.08, 3 Li 2.05-2.17
Li 0.3366 0.1661 0.7374  6 O 2.06-2.30
Fe 0.7519 0.2481 0.5000  6 O 2.11-2.25
O 0.1548 0.6371 0.3703  2 V 1.98-2.08, 3 Li 2.05-2.17
Li 0.8339 0.6634 0.2626  6 O 2.06-2.30
V 0.0004 0.5107 0.7426  6 O 1.98-2.18
Li 0.1549 0.3175 0.2642  4 O 2.05-2.15
O 0.2219 0.0636 0.1200  3 V 2.04-2.15, 1 Li 2.15, 1 Fe 2.15
O 0.2693 0.4366 0.8806  3 V 2.02-2.18, 1 Fe 2.14, 1 Li 2.21
Fe 0.2491 0.7509 0.0000  6 O 2.14-2.18
O 0.4613 0.2873 0.3741  2 V 2.02-2.12, 3 Li 2.07-2.14, 1 Fe 2.12
V 0.4893 0.9996 0.2574  6 O 1.98-2.18
V 0.4213 0.5787 0.5000  6 O 2.04-2.12
V 0.9195 0.0805 0.0000  6 O 2.02-2.09
O 0.9364 0.7781 0.8800  3 V 2.04-2.15, 1 Li 2.15, 1 Fe 2.15

=====

Record 5
DFT (PBE with a Hubbard U) results for a geometry-optimized Li4V3O8 structure.

Computed properties:
* total energy: -0.492 Ry/atom
* theoretical density: 3.36 g/cm3
* M_tot: 0.00 μB/f.u.
* crystal system: triclinic
* formation energy: -2.44 eV per atom

Cell lengths 5.8551, 6.1507, 8.4950 Å; angles 85.99, 89.91, 90.63 degrees
Last column: nearest neighbours and their distance in Å.
Fractional positions:
Li 0.5000 0.4999 0.5000  6 O 2.19-2.21
O 0.2394 0.2747 0.0136  2 V 1.96-1.98, 3 Li 2.04-2.19
O 0.9941 0.5277 0.7651  1 Li 1.88, 3 V 1.99-2.01
V 0.2465 0.7487 0.7456  6 O 1.87-2.02
O 0.7634 0.2780 0.0243  2 V 1.94-1.95, 2 Li 2.07-2.17
O 0.7606 0.7254 0.9865  2 V 1.96-1.98, 3 Li 2.04-2.19
Li 0.0000 0.0001 0.0000  6 O 2.19-2.23
O 0.9883 0.9617 0.7433  2 V 1.91-2.01, 2 Li 2.06-2.10
Li 0.4942 0.2163 0.8579  3 O 1.89-2.11
O 0.2728 0.2148 0.4885  2 V 1.88-2.07, 2 Li 2.06-2.11
V 0.7534 0.2513 0.2543  6 O 1.87-2.02
Li 0.9999 0.0000 0.5000  6 O 2.06-2.08, 2 Li 2.20
V 0.2540 0.2482 0.2446  6 O 1.90-2.07
V 0.4999 0.0000 0.4999  6 O 1.88-2.04
O 0.5029 0.0291 0.2630  1 Li 1.88, 3 V 1.99-2.01
Li 0.0059 0.2838 0.6435  3 O 1.88-2.11
O 0.7474 0.2354 0.4748  2 V 1.87-2.04, 1 Li 2.08
V 0.7459 0.7517 0.7553  6 O 1.90-2.07
V 0.0001 0.5001 0.0000  6 O 1.94-1.99
O 0.2367 0.7222 0.9758  2 V 1.94-1.95, 2 Li 2.07-2.17
O 0.4907 0.4623 0.2453  2 V 1.90-2.02, 2 Li 2.08-2.11
Li 0.9941 0.7163 0.3566  3 O 1.88-2.11
O 0.2525 0.7645 0.5252  2 V 1.87-2.04, 1 Li 2.08
O 0.0117 0.0383 0.2567  2 V 1.91-2.01, 2 Li 2.06-2.10
O 0.4971 0.9708 0.7369  1 Li 1.89, 3 V 1.99-2.01
Li 0.5001 0.5000 0.0000  6 O 2.05-2.08, 2 Li 2.19
O 0.5093 0.5376 0.7547  2 V 1.90-2.02, 2 Li 2.08-2.11
Li 0.5058 0.7837 0.1420  3 O 1.88-2.11
O 0.7272 0.7851 0.5115  2 V 1.88-2.07, 2 Li 2.06-2.11
O 0.0060 0.4723 0.2350  1 Li 1.88, 3 V 1.99-2.01

=====

Record 6
DFT (PBE with a Hubbard U) results for a geometry-optimized La2MgV2O8 structure.

Computed properties:
* total energy: -0.568 Ry/atom
* theoretical density: 4.51 g/cm3
* M_tot: 2.05 μB/f.u.
* crystal system: monoclinic
* formation energy: -3.09 eV per atom

Cell lengths 6.4706, 6.2549, 6.2549 Å; angles 104.52, 106.09, 116.56 degrees
Last column: nearest neighbours and their distance in Å.
Fractional positions:
V 0.6366 0.3851 0.2780  4 O 1.78-1.88
O 0.2086 0.2757 0.5704  1 V 1.88, 1 Mg 1.99
O 0.1930 0.6055 0.9308  1 V 1.78
O 0.7051 0.7439 0.8830  1 V 1.85
O 0.7914 0.3618 0.0670  1 V 1.88, 1 Mg 1.99
O 0.2949 0.1779 0.0388  1 V 1.85
O 0.3757 0.8614 0.6052  1 V 1.81
La 0.0998 0.8449 0.2075  6 O 2.38-2.57
O 0.8070 0.7378 0.4125  1 V 1.78
La 0.9002 0.1077 0.7450  6 O 2.38-2.57
O 0.6243 0.2295 0.4858  1 V 1.81
V 0.3634 0.6414 0.7485  4 O 1.78-1.88
Mg 0.5000 0.2601 0.7601  4 O 1.99-2.09

=====

Record 7
DFT (PBE with a Hubbard U) results for a geometry-optimized La2MgMoO6 structure.

Computed properties:
* total energy: -0.545 Ry/atom
* theoretical density: 4.99 g/cm3
* M_tot: 2.00 μB/f.u.
* crystal system: tetragonal
* formation energy: -2.95 eV per atom

Cell lengths 4.3556, 4.3556, 9.1890 Å; angles 103.70, 103.70, 89.99 degrees
Last column: nearest neighbours and their distance in Å.
Fractional positions:
O 0.2501 0.7501 0.5000  4 La 2.45
O 0.6823 0.6823 0.8605  1 Mg 1.95, 1 Mo 1.97
O 0.8217 0.3177 0.1396  1 Mg 1.95, 1 Mo 1.97
Mg 0.0000 0.0000 0.0000  4 O 1.95
Mo 0.4999 0.4999 0.0000  4 O 1.97
La 0.8143 0.8143 0.6285  6 O 2.45-2.52
O 0.1782 0.1782 0.8604  1 Mg 1.95, 1 Mo 1.97
La 0.1858 0.1858 0.3715  6 O 2.45-2.52
O 0.7501 0.2501 0.5000  4 La 2.45
O 0.3177 0.8217 0.1396  1 Mg 1.95, 1 Mo 1.97

=====

Record 8
DFT (PBE with a Hubbard U) results for a geometry-optimized MgMn6O8F4 structure.

Computed properties:
* total energy: -0.501 Ry/atom
* theoretical density: 4.09 g/cm3
* M_tot: 24.00 μB/f.u.
* crystal system: triclinic
* formation energy: -2.27 eV per atom

Cell lengths 5.2269, 7.5611, 5.8740 Å; angles 98.41, 98.95, 85.25 degrees
Last column: nearest neighbours and their distance in Å.
Fractional positions:
Mg 0.5212 0.1630 0.1742  2 F 1.99-2.09, 4 O 2.01-2.22
O 0.6782 0.4131 0.1135  3 Mn 2.03-2.07, 1 Mg 2.22
O 0.8536 0.4216 0.6329  3 Mn 1.91-2.06
O 0.1031 0.8864 0.7110  3 Mn 1.88-1.98
O 0.3767 0.9107 0.1778  3 Mn 1.94-2.08, 1 Mg 2.11
Mn 0.0127 0.9782 0.0042  4 O 1.88-2.08, 1 F 2.08
O 0.3312 0.5743 0.8495  3 Mn 1.94-1.96
Mn 0.5507 0.6744 0.1317  4 O 1.94-2.09, 1 F 2.01
F 0.1246 0.5796 0.3847  2 Mn 1.95-2.07
F 0.1720 0.2218 0.0041  1 Mg 1.99, 1 Mn 2.08
Mn 0.5590 0.3633 0.7660  4 O 1.94-2.03, 1 F 2.15
Mn 0.0076 0.3373 0.3306  4 O 1.90-2.07, 1 F 1.95
O 0.8965 0.1008 0.2858  2 Mn 1.90-1.93, 1 Mg 2.01
F 0.6183 0.0912 0.8387  1 Mg 2.09, 3 Mn 2.15-2.29
F 0.6507 0.7367 0.4778  2 Mn 2.01-2.15
Mn 0.3457 0.9720 0.5286  3 O 1.98-2.16
O 0.3623 0.2473 0.4775  3 Mn 1.97-2.16, 1 Mg 2.08
O 0.8448 0.7507 0.9704  3 Mn 1.89-2.09
Mn 0.9909 0.6526 0.7003  4 O 1.89-1.94, 1 F 2.07

=====

Q: Which value of formation energy does entry 6 give?
A: -3.09 eV per atom

=====

Q: Which value of theoretical density does entry 1 give?
A: 4.28 g/cm3

=====

Q: Which formula does entry 4 have?
A: Li5V5Fe2O12

=====

Q: Which of these has the highest theoretical density?
A: PrMo2O6